Computed, not measured: crystalline Na4CrC6N6O10 at its relaxed geometry at the PBE+U level of DFT.

Geometry as POSCAR:
```
Na4CrC6N6O10
1.0
9.2584 0.0000 0.0000
0.0000 10.6560 0.0000
-8.1838 0.0000 9.5134
Na Cr C N O
8 2 12 12 20
Cartesian
-0.0171 1.7751 0.9232 Na
-4.1090 3.5529 5.6799 Na
-4.5350 6.7424 7.5698 Na
-0.4432 9.2416 2.8131 Na
1.5179 1.4144 6.7003 Na
5.6097 3.9136 1.9436 Na
5.1837 7.1031 3.8335 Na
1.0918 8.8809 8.5902 Na
4.6292 0.0000 0.0000 Cr
0.5373 5.3280 4.7567 Cr
-5.5826 0.2597 9.1032 C
-1.4907 5.0683 4.3466 C
0.9314 5.4554 2.7166 C
-3.1604 10.5285 7.4733 C
0.2774 7.3663 4.9743 C
4.3693 8.6177 0.2176 C
-3.2946 2.0383 9.2958 C
0.7972 3.2897 4.5391 C
4.2351 0.1274 2.0401 C
0.1433 5.2006 6.7968 C
2.5654 5.5876 5.1668 C
6.6573 10.3963 0.4101 C
-6.7193 0.4058 8.8473 N
-2.6274 4.9221 4.0906 N
1.1997 5.4584 1.5673 N
-2.8922 10.5255 6.3239 N
4.1978 7.4536 0.2516 N
0.1059 8.5303 5.0083 N
0.9688 2.1256 4.5051 N
-3.1231 3.2023 9.2617 N
3.9669 0.1305 3.1894 N
-0.1250 5.1975 7.9461 N
3.7021 5.7338 5.4228 N
7.7940 10.2501 0.6661 N
-2.0368 1.8207 2.9109 O
-6.1287 3.5073 7.6676 O
-2.1513 0.7242 3.4705 O
-6.2432 4.6038 8.2272 O
-3.2565 7.8356 5.8981 O
0.8354 8.1483 1.1414 O
-2.2318 2.0925 5.9784 O
1.8601 3.2355 1.2217 O
0.6794 0.7122 2.9314 O
-3.4125 4.6158 7.6881 O
4.4872 6.0402 1.8252 O
0.3953 9.9438 6.5819 O
-0.7854 7.4205 8.2916 O
3.3065 8.5635 3.5350 O
0.2393 2.5076 8.3720 O
4.3312 2.8203 3.6153 O
7.3178 6.0522 1.2862 O
3.2260 9.9318 6.0428 O
7.2033 7.1487 1.8458 O
3.1115 8.8353 6.6024 O
```

Values from the calculation:
**Energy of formation**: 457.1 meV/atom
**Size of the total moment**: 0.67 μB/atom
**Crystal system**: monoclinic